(1)
Rb2As2Pt: optimized geometry, PBE.

The structure in CIF format:
```
data_Rb2As2Pt
_chemical_formula_sum 'Rb8 As8 Pt4'
_cell_length_a 6.8049
_cell_length_b 14.7531
_cell_length_c 6.4150
_cell_angle_alpha 90.00
_cell_angle_beta 90.00
_cell_angle_gamma 90.00
_symmetry_space_group_name_H-M 'C m c m'
_symmetry_Int_Tables_number 63
_symmetry_space_group_name_Hall '-C 2c 2'
loop_
_atom_site_label
_atom_site_fract_x
_atom_site_fract_y
_atom_site_fract_z
Rb1 0.0000 0.0825 0.2500
Rb2 0.0000 0.2942 0.7500
As1 0.1804 0.3960 0.2500
Pt1 0.0000 0.5000 0.0000
```

Computed properties:
**Crystal system**: orthorhombic
**Calculated volume**: 644.0 Å³ per cell

---

(2)
Ca2Ti2O5: optimized geometry, PBE.

The structure in CIF format:
```
data_Ca2Ti2O5
_chemical_formula_sum 'Ca8 Ti8 O20'
_cell_length_a 15.2965
_cell_length_b 5.6532
_cell_length_c 5.4939
_cell_angle_alpha 90.00
_cell_angle_beta 90.00
_cell_angle_gamma 90.00
_symmetry_space_group_name_H-M 'I m a 2'
_symmetry_Int_Tables_number 46
_symmetry_space_group_name_Hall 'I 2 -2a'
loop_
_atom_site_label
_atom_site_fract_x
_atom_site_fract_y
_atom_site_fract_z
Ca1 0.1081 0.0266 0.0000
Ti1 0.0000 0.0000 0.4919
Ti2 0.2500 0.5508 0.0385
O1 0.0118 0.7485 0.2431
O2 0.1343 0.0577 0.4808
O3 0.2500 0.6312 0.3869
```

Computed properties:
**Crystal system**: orthorhombic
**Calculated volume**: 475.1 Å³ per cell
**Polymorph energy (0 for the lowest one)**: 0.037 eV per atom
**Total energy after the MP2020 corrections**: -8.199 eV per atom
**Total moment**: 7.64 μB/cell

---

(3)
Ho2InHg: optimized geometry, PBE.

The structure in CIF format:
```
data_Ho2InHg
_chemical_formula_sum 'Ho8 In4 Hg4'
_cell_length_a 7.4580
_cell_length_b 7.4580
_cell_length_c 7.4580
_cell_angle_alpha 90.00
_cell_angle_beta 90.00
_cell_angle_gamma 90.00
_symmetry_space_group_name_H-M 'F m -3 m'
_symmetry_Int_Tables_number 225
_symmetry_space_group_name_Hall '-F 4 2 3'
loop_
_atom_site_label
_atom_site_fract_x
_atom_site_fract_y
_atom_site_fract_z
Ho1 0.2500 0.2500 0.2500
In1 0.0000 0.0000 0.0000
Hg1 0.0000 0.0000 0.5000
```

Computed properties:
**Crystal system**: cubic
**Calculated volume**: 414.8 Å³ per cell

---

(4)
Hf2Se3S3: optimized geometry, PBE.

The structure in CIF format:
```
data_Hf2Se3S3
_chemical_formula_sum 'Hf2 Se3 S3'
_cell_length_a 5.3865
_cell_length_b 3.6918
_cell_length_c 9.5636
_cell_angle_alpha 90.00
_cell_angle_beta 96.71
_cell_angle_gamma 90.00
_symmetry_space_group_name_H-M 'P 1 m 1'
_symmetry_Int_Tables_number 6
_symmetry_space_group_name_Hall 'P -2y'
loop_
_atom_site_label
_atom_site_fract_x
_atom_site_fract_y
_atom_site_fract_z
Hf1 0.0000 0.0000 0.0000
Hf2 0.4396 0.5000 0.6868
Se1 0.1919 0.0000 0.5093
Se2 0.4803 0.0000 0.8987
Se3 0.9595 0.5000 0.7886
S1 0.2288 0.5000 0.1582
S2 0.6123 0.0000 0.5337
S3 0.8406 0.5000 0.1610
```

Computed properties:
**Crystal system**: monoclinic
**Calculated volume**: 188.9 Å³ per cell
**Total energy after the MP2020 corrections**: -6.616 eV per atom
**Total moment**: 0.00 μB/cell

---

(5)
CeHo4S7: optimized geometry, PBE.

The structure in CIF format:
```
data_CeHo4S7
_chemical_formula_sum 'Ce2 Ho8 S14'
_cell_length_a 13.0373
_cell_length_b 3.8152
_cell_length_c 11.6099
_cell_angle_alpha 90.00
_cell_angle_beta 104.80
_cell_angle_gamma 90.00
_symmetry_space_group_name_H-M 'C 1 2/m 1'
_symmetry_Int_Tables_number 12
_symmetry_space_group_name_Hall '-C 2y'
loop_
_atom_site_label
_atom_site_fract_x
_atom_site_fract_y
_atom_site_fract_z
Ce1 0.0000 0.0000 0.0000
Ho1 0.1124 0.0000 0.4228
Ho2 0.1996 0.5000 0.8111
S1 0.0000 0.5000 0.5000
S2 0.0445 0.0000 0.7793
S3 0.1650 0.5000 0.0550
S4 0.2389 0.5000 0.3544
```

Computed properties:
**Crystal system**: monoclinic
**Calculated volume**: 558.3 Å³ per cell
**Total energy after the MP2020 corrections**: -6.753 eV per atom
**Total moment**: 2.39 μB/cell

---

(6)
TaF3: optimized geometry, PBE.

The structure in CIF format:
```
data_TaF3
_chemical_formula_sum 'Ta1 F3'
_cell_length_a 4.1666
_cell_length_b 4.1666
_cell_length_c 4.1666
_cell_angle_alpha 90.00
_cell_angle_beta 90.00
_cell_angle_gamma 90.00
_symmetry_space_group_name_H-M 'P m -3 m'
_symmetry_Int_Tables_number 221
_symmetry_space_group_name_Hall '-P 4 2 3'
loop_
_atom_site_label
_atom_site_fract_x
_atom_site_fract_y
_atom_site_fract_z
Ta1 0.0000 0.0000 0.0000
F1 0.0000 0.0000 0.5000
```

Computed properties:
**Crystal system**: cubic
**Calculated volume**: 72.3 Å³ per cell
**Total energy after the MP2020 corrections**: -7.169 eV per atom
**Total moment**: 2.00 μB/cell

---

(7)
Na6CaTi7Si6S6O48: optimized geometry, PBE.

The structure in CIF format:
```
data_Na6CaTi7Si6S6O48
_chemical_formula_sum 'Na18 Ca3 Ti21 Si18 S18 O144'
_cell_length_a 8.8008
_cell_length_b 15.3433
_cell_length_c 22.5741
_cell_angle_alpha 89.97
_cell_angle_beta 89.93
_cell_angle_gamma 89.95
_symmetry_space_group_name_H-M 'P 1'
_symmetry_Int_Tables_number 1
_symmetry_space_group_name_Hall 'P 1'
loop_
_atom_site_label
_atom_site_fract_x
_atom_site_fract_y
_atom_site_fract_z
Na1 0.0000 0.0000 0.0000
Na2 0.9997 0.6683 0.3421
Na3 0.3150 0.6440 0.9204
Na4 0.3616 0.3367 0.9249
Na5 0.4826 0.1540 0.8382
Na6 0.4868 0.8308 0.1680
Na7 0.4880 0.1563 0.3349
Na8 0.4892 0.8277 0.6709
Na9 0.4921 0.4989 0.5054
Na10 0.5017 0.5046 0.0003
Na11 0.6435 0.3355 0.4226
Na12 0.6877 0.6435 0.4228
Na13 0.8116 0.1389 0.9238
Na14 0.8598 0.8403 0.9217
Na15 0.9831 0.6606 0.8331
Na16 0.9887 0.9988 0.4975
Na17 0.9936 0.3343 0.6644
Na18 0.9960 0.3260 0.1703
Ca1 0.0006 0.9996 0.8558
Ca2 0.4898 0.4996 0.3545
Ca3 0.4979 0.5018 0.8535
Ti1 0.0010 0.0088 0.1545
Ti2 0.0044 0.6614 0.9785
Ti3 0.0048 0.3355 0.8210
Ti4 0.0061 0.3244 0.0307
Ti5 0.0073 0.6777 0.1902
Ti6 0.0081 0.9964 0.6455
Ti7 0.4834 0.5005 0.1436
Ti8 0.4863 0.1707 0.1878
Ti9 0.4890 0.1703 0.6842
Ti10 0.4889 0.8282 0.0231
Ti11 0.4908 0.5023 0.6417
Ti12 0.4921 0.1695 0.4862
Ti13 0.4938 0.1615 0.9865
Ti14 0.4958 0.8346 0.3159
Ti15 0.4973 0.8313 0.8264
Ti16 0.5047 0.8318 0.5289
Ti17 0.9792 0.3284 0.5297
Ti18 0.9804 0.3256 0.3212
Ti19 0.9887 0.6652 0.4863
Ti20 0.9979 0.6662 0.6797
Ti21 0.9987 0.9983 0.3581
Si1 0.1269 0.4733 0.9257
Si2 0.1326 0.5202 0.5845
Si3 0.1391 0.8594 0.2543
Si4 0.1401 0.8090 0.5840
Si5 0.1428 0.1460 0.2570
Si6 0.1451 0.1904 0.9236
Si7 0.2037 0.1656 0.5853
Si8 0.2074 0.8312 0.9241
Si9 0.2845 0.6703 0.0864
Si10 0.3527 0.3104 0.0863
Si11 0.6236 0.9778 0.9253
Si12 0.6339 0.3114 0.5874
Si13 0.6439 0.6881 0.9250
Si14 0.7069 0.6668 0.5863
Si15 0.7816 0.1627 0.0884
Si16 0.7834 0.8348 0.4203
Si17 0.8489 0.1830 0.4238
Si18 0.8631 0.4774 0.4226
S1 0.1901 0.5002 0.2484
S2 0.2757 0.3257 0.4234
S3 0.2994 0.9988 0.7494
S4 0.3398 0.6510 0.7513
S5 0.3424 0.3469 0.7523
S6 0.3462 0.6968 0.4220
S7 0.3489 0.0215 0.0892
S8 0.3527 0.9754 0.4210
S9 0.6403 0.0229 0.5875
S10 0.6432 0.3492 0.2512
S11 0.6448 0.6496 0.2508
S12 0.7058 0.9988 0.2548
S13 0.7137 0.3287 0.9231
S14 0.7993 0.4988 0.7502
S15 0.8394 0.1505 0.7514
S16 0.8422 0.8470 0.7511
S17 0.8477 0.5238 0.0893
S18 0.8519 0.8111 0.0875
O1 0.0487 0.5703 0.9275
O2 0.0548 0.7660 0.5276
O3 0.0584 0.4296 0.8626
O4 0.0595 0.5686 0.6425
O5 0.0605 0.0999 0.9218
O6 0.0600 0.9022 0.3126
O7 0.0598 0.9064 0.5985
O8 0.0632 0.1005 0.1971
O9 0.0640 0.4236 0.5783
O10 0.0645 0.7601 0.2445
O11 0.0683 0.2435 0.2655
O12 0.0723 0.2405 0.9815
O13 0.0788 0.4137 0.9812
O14 0.0868 0.5764 0.2378
O15 0.0890 0.9084 0.9236
O16 0.0971 0.0780 0.5982
O17 0.1001 0.4200 0.2504
O18 0.1011 0.0809 0.3120
O19 0.1029 0.2515 0.5808
O20 0.1029 0.9195 0.1961
O21 0.1045 0.2547 0.8642
O22 0.1083 0.5857 0.5280
O23 0.1112 0.7382 0.9288
O24 0.1142 0.7489 0.6427
O25 0.1688 0.3235 0.0840
O26 0.1699 0.6796 0.1437
O27 0.1713 0.3389 0.7546
O28 0.1730 0.6621 0.7434
O29 0.1804 0.6507 0.0280
O30 0.1805 0.0137 0.0929
O31 0.1809 0.6897 0.4247
O32 0.1848 0.3340 0.4765
O33 0.1850 0.9843 0.4156
O34 0.1864 0.3171 0.3680
O35 0.1885 0.9907 0.6987
O36 0.2206 0.0171 0.8045
O37 0.2701 0.5187 0.3041
O38 0.3030 0.4919 0.1985
O39 0.3090 0.4813 0.9231
O40 0.3149 0.8390 0.9821
O41 0.3162 0.8125 0.8648
O42 0.3167 0.1461 0.5286
O43 0.3173 0.1736 0.6428
O44 0.3185 0.5132 0.5982
O45 0.3213 0.8273 0.5750
O46 0.3233 0.8453 0.2647
O47 0.3275 0.1520 0.2473
O48 0.3297 0.1909 0.9258
O49 0.3579 0.6066 0.8089
O50 0.3752 0.2443 0.4256
O51 0.3774 0.0753 0.0347
O52 0.3814 0.9244 0.4748
O53 0.3819 0.2481 0.1443
O54 0.3823 0.4010 0.4201
O55 0.3830 0.4045 0.7032
O56 0.3826 0.7452 0.3661
O57 0.3900 0.9175 0.7510
O58 0.3907 0.5813 0.0976
O59 0.3923 0.7551 0.0859
O60 0.4009 0.3768 0.8097
O61 0.4037 0.0740 0.7387
O62 0.4060 0.2565 0.7438
O63 0.4075 0.5989 0.7024
O64 0.4094 0.7412 0.4747
O65 0.4107 0.0648 0.1423
O66 0.4150 0.9320 0.3666
O67 0.4155 0.7380 0.7524
O68 0.4214 0.6100 0.4202
O69 0.4209 0.9354 0.0853
O70 0.4249 0.2669 0.0268
O71 0.4264 0.0624 0.4241
O72 0.4334 0.4069 0.0974
O73 0.5452 0.0753 0.9287
O74 0.5508 0.9300 0.8648
O75 0.5546 0.4064 0.5968
O76 0.5594 0.2649 0.5277
O77 0.5617 0.5959 0.9231
O78 0.5671 0.7386 0.9813
O79 0.5673 0.9359 0.5819
O80 0.5700 0.7380 0.2539
O81 0.5720 0.6003 0.2023
O82 0.5728 0.0635 0.6406
O83 0.5793 0.2598 0.2430
O84 0.5836 0.3795 0.3087
O85 0.5889 0.9171 0.9826
O86 0.5959 0.5818 0.5972
O87 0.5970 0.7536 0.5795
O88 0.5979 0.2478 0.6437
O89 0.6008 0.4075 0.2021
O90 0.6047 0.0751 0.2485
O91 0.6061 0.9188 0.2609
O92 0.6075 0.4024 0.9186
O93 0.6151 0.0761 0.5336
O94 0.6159 0.7509 0.8647
O95 0.6229 0.2452 0.9241
O96 0.6299 0.6048 0.3083
O97 0.6603 0.1787 0.4297
O98 0.6622 0.8218 0.3633
O99 0.6630 0.1716 0.1441
O100 0.6662 0.8446 0.4777
O101 0.6714 0.1598 0.7417
O102 0.6720 0.8411 0.7517
O103 0.6753 0.1488 0.0277
O104 0.6765 0.5150 0.0969
O105 0.6771 0.4875 0.4224
O106 0.6842 0.8185 0.0865
O107 0.6917 0.4892 0.7000
O108 0.7196 0.5121 0.8067
O109 0.7982 0.0113 0.3083
O110 0.7990 0.9838 0.2010
O111 0.8016 0.6479 0.5256
O112 0.8037 0.3376 0.9763
O113 0.8039 0.9888 0.9209
O114 0.8068 0.0124 0.5949
O115 0.8074 0.3202 0.8676
O116 0.8094 0.6614 0.2399
O117 0.8129 0.3424 0.2532
O118 0.8135 0.6831 0.6434
O119 0.8159 0.3183 0.5838
O120 0.8279 0.6891 0.9314
O121 0.8552 0.1054 0.8086
O122 0.8696 0.5762 0.0348
O123 0.8718 0.2501 0.3651
O124 0.8787 0.7440 0.4247
O125 0.8811 0.2523 0.0825
O126 0.8859 0.7545 0.1404
O127 0.8862 0.9214 0.4130
O128 0.8870 0.9068 0.7017
O129 0.8888 0.0756 0.0974
O130 0.8938 0.4168 0.7532
O131 0.8983 0.8794 0.8084
O132 0.9007 0.4107 0.4772
O133 0.9013 0.5754 0.7425
O134 0.9088 0.2394 0.7542
O135 0.9088 0.7586 0.7429
O136 0.9097 0.1012 0.7018
O137 0.9109 0.4351 0.0845
O138 0.9116 0.5671 0.1416
O139 0.9127 0.7688 0.0334
O140 0.9200 0.2314 0.4811
O141 0.9241 0.8971 0.0942
O142 0.9260 0.0893 0.4122
O143 0.9261 0.4260 0.3616
O144 0.9401 0.5742 0.4246
```

Computed properties:
**Crystal system**: triclinic
**Calculated volume**: 3048.2 Å³ per cell
**Total energy after the MP2020 corrections**: -7.622 eV per atom
**Total moment**: 0.00 μB/cell

---

(8)
K2Zr2ZnH12O6F12: optimized geometry, PBE.

The structure in CIF format:
```
data_K2Zr2ZnH12O6F12
_chemical_formula_sum 'K4 Zr4 Zn2 H24 O12 F24'
_cell_length_a 6.7279
_cell_length_b 10.1182
_cell_length_c 13.1290
_cell_angle_alpha 90.00
_cell_angle_beta 114.16
_cell_angle_gamma 90.00
_symmetry_space_group_name_H-M 'P 1 21/c 1'
_symmetry_Int_Tables_number 14
_symmetry_space_group_name_Hall '-P 2ybc'
loop_
_atom_site_label
_atom_site_fract_x
_atom_site_fract_y
_atom_site_fract_z
K1 0.1052 0.2162 0.0839
Zr1 0.3135 0.0152 0.8513
Zn1 0.5000 0.0000 0.5000
H1 0.0888 0.0686 0.3898
H2 0.2390 0.1858 0.3824
H3 0.2736 0.5736 0.1128
H4 0.3011 0.6923 0.8336
H5 0.3667 0.5684 0.7781
H6 0.4203 0.6960 0.1100
O1 0.2209 0.1203 0.4344
O2 0.3212 0.6267 0.0634
O3 0.3962 0.6130 0.8492
F1 0.0749 0.0690 0.8983
F2 0.1392 0.0256 0.6750
F3 0.1587 0.6653 0.3059
F4 0.3407 0.2143 0.8125
F5 0.4223 0.0337 0.1809
F6 0.4565 0.6133 0.4962
```

Computed properties:
**Crystal system**: monoclinic
**Calculated volume**: 815.5 Å³ per cell
**Total energy after the MP2020 corrections**: -5.666 eV per atom

---

Record-wise ΔH_f (0 K) values, in eV/atom: -0.487, -3.250, -0.457, -1.264, -2.318, -2.769, -2.756, -2.410